A relaxed NaInSn4 crystal. Source: the Materials Project database, functional PBE.

CIF file:
```
data_NaInSn4
_chemical_formula_sum 'Na2 In2 Sn8'
_cell_length_a 7.386
_cell_length_b 7.386
_cell_length_c 6.152
_cell_angle_alpha 90.00
_cell_angle_beta 90.00
_cell_angle_gamma 90.00
_space_group_name_H-M_alt 'I 4 2 2'
_space_group_IT_number 97
_space_group_name_Hall 'I 4 2'
loop_
_atom_site_label
_atom_site_type_symbol
_atom_site_fract_x
_atom_site_fract_y
_atom_site_fract_z
Na1 Na 0.000 0.000 0.000
In1 In 0.000 0.000 0.500
Sn1 Sn 0.149 0.351 0.250
```

Summary:
ΔH_f (0 K)   0.44 eV per formula unit
Total magnetic moment   0.000 Bohr magnetons per cell